1.
A plane-wave DFT calculation with r²SCAN was carried out for crystalline RbTiNbO5 at its relaxed geometry.

* formation energy from the elements: -23.253 eV/f.u.
* DFT total energy: -13.09 eV/atom
* total magnetic moment: 0.000 μB/atom

Unit cell a=6.483 b=3.829 c=19.048 alpha=90.00 beta=90.00 gamma=90.00
Fractional positions:
Rb1 0.215 0.250 0.193
Rb2 0.285 0.750 0.693
Rb3 0.715 0.250 0.307
Rb4 0.785 0.750 0.807
Ti1 0.178 0.250 0.533
Ti2 0.322 0.750 0.033
Ti3 0.678 0.250 0.967
Ti4 0.822 0.750 0.467
Nb1 0.225 0.250 0.894
Nb2 0.275 0.750 0.394
Nb3 0.725 0.250 0.606
Nb4 0.775 0.750 0.106
O1 0.032 0.250 0.617
O2 0.069 0.750 0.070
O3 0.142 0.750 0.510
O4 0.157 0.250 0.802
O5 0.236 0.750 0.924
O6 0.264 0.250 0.424
O7 0.343 0.750 0.302
O8 0.358 0.250 0.010
O9 0.431 0.250 0.570
O10 0.468 0.750 0.117
O11 0.532 0.250 0.883
O12 0.569 0.750 0.430
O13 0.642 0.750 0.990
O14 0.657 0.250 0.698
O15 0.736 0.750 0.576
O16 0.764 0.250 0.076
O17 0.843 0.750 0.198
O18 0.858 0.250 0.490
O19 0.931 0.250 0.930
O20 0.968 0.750 0.383

=====

2.
A plane-wave DFT calculation with r²SCAN was carried out for crystalline NbSbO4 at its relaxed geometry.

* formation energy from the elements: -13.390 eV/f.u.
* DFT total energy: -14.62 eV/atom
* total magnetic moment: 0.000 μB/atom

Unit cell a=5.608 b=11.913 c=5.016 alpha=90.00 beta=90.00 gamma=90.00
Fractional positions:
Nb1 0.134 0.250 0.250
Nb2 0.366 0.750 0.250
Nb3 0.634 0.250 0.750
Nb4 0.866 0.750 0.750
Sb1 0.250 0.000 0.693
Sb2 0.250 0.500 0.807
Sb3 0.750 0.000 0.307
Sb4 0.750 0.500 0.193
O1 0.076 0.095 0.420
O2 0.076 0.405 0.080
O3 0.156 0.697 0.510
O4 0.156 0.803 0.990
O5 0.344 0.197 0.990
O6 0.344 0.303 0.510
O7 0.424 0.595 0.080
O8 0.424 0.905 0.420
O9 0.576 0.095 0.580
O10 0.576 0.405 0.920
O11 0.656 0.697 0.490
O12 0.656 0.803 0.010
O13 0.844 0.197 0.010
O14 0.844 0.303 0.490
O15 0.924 0.595 0.920
O16 0.924 0.905 0.580

=====

3.
A plane-wave DFT calculation with r²SCAN was carried out for crystalline NbSbO4 at its relaxed geometry.

* formation energy from the elements: -13.408 eV/f.u.
* DFT total energy: -14.62 eV/atom
* total magnetic moment: 0.000 μB/atom

Unit cell a=5.579 b=4.959 c=11.903 alpha=90.00 beta=90.00 gamma=90.00
Fractional positions:
Nb1 0.107 0.014 0.000
Nb2 0.393 0.514 0.500
Nb3 0.607 0.486 0.000
Nb4 0.893 0.986 0.500
Sb1 0.040 0.452 0.253
Sb2 0.460 0.952 0.753
Sb3 0.540 0.048 0.253
Sb4 0.960 0.548 0.753
O1 0.071 0.694 0.435
O2 0.145 0.212 0.540
O3 0.146 0.834 0.836
O4 0.181 0.167 0.148
O5 0.319 0.667 0.648
O6 0.354 0.334 0.336
O7 0.355 0.712 0.040
O8 0.429 0.194 0.935
O9 0.571 0.806 0.435
O10 0.645 0.288 0.540
O11 0.646 0.666 0.836
O12 0.681 0.333 0.148
O13 0.819 0.833 0.648
O14 0.854 0.166 0.336
O15 0.855 0.788 0.040
O16 0.929 0.306 0.935

=====

4.
A plane-wave DFT calculation with r²SCAN was carried out for crystalline Sc11Nb3O24 at its relaxed geometry.

* formation energy from the elements: -135.658 eV/f.u.
* DFT total energy: -12.59 eV/atom
* total magnetic moment: 0.000 μB/atom

Unit cell a=7.904 b=7.919 c=7.947 alpha=71.50 beta=72.08 gamma=72.29
Fractional positions:
Sc1 0.000 0.000 0.000
Sc2 0.022 0.795 0.677
Sc3 0.176 0.356 0.885
Sc4 0.212 0.158 0.558
Sc5 0.318 0.969 0.216
Sc6 0.500 0.496 0.491
Sc7 0.535 0.283 0.180
Sc8 0.677 0.862 0.386
Sc9 0.711 0.649 0.068
Sc10 0.820 0.467 0.717
Sc11 0.892 0.177 0.351
Nb1 0.100 0.579 0.288
Nb2 0.389 0.678 0.851
Nb3 0.607 0.080 0.778
O1 0.018 0.243 0.785
O2 0.024 0.346 0.401
O3 0.100 0.160 0.109
O4 0.114 0.987 0.457
O5 0.200 0.799 0.142
O6 0.204 0.898 0.778
O7 0.249 0.500 0.038
O8 0.278 0.588 0.693
O9 0.331 0.434 0.368
O10 0.378 0.213 0.693
O11 0.437 0.064 0.373
O12 0.476 0.152 0.011
O13 0.519 0.743 0.290
O14 0.519 0.839 0.900
O15 0.586 0.665 0.622
O16 0.604 0.489 0.952
O17 0.693 0.305 0.646
O18 0.693 0.402 0.272
O19 0.744 0.984 0.555
O20 0.778 0.079 0.194
O21 0.834 0.938 0.869
O22 0.879 0.710 0.194
O23 0.933 0.564 0.871
O24 0.970 0.658 0.511

=====

5.
A plane-wave DFT calculation with r²SCAN was carried out for crystalline Nb2Se4O13 at its relaxed geometry.

* formation energy from the elements: -28.162 eV/f.u.
* DFT total energy: -11.19 eV/atom
* total magnetic moment: 0.000 μB/atom

Unit cell a=11.491 b=6.708 c=7.623 alpha=90.00 beta=109.33 gamma=90.00
Fractional positions:
Nb1 0.000 0.003 0.000
Nb2 0.000 0.997 0.500
Nb3 0.650 0.495 0.107
Nb4 0.650 0.505 0.607
Se1 0.328 0.072 0.222
Se2 0.328 0.928 0.722
Se3 0.338 0.481 0.564
Se4 0.338 0.519 0.064
Se5 0.662 0.052 0.844
Se6 0.662 0.948 0.344
Se7 0.989 0.449 0.260
Se8 0.989 0.551 0.760
O1 0.007 0.289 0.095
O2 0.007 0.711 0.595
O3 0.182 0.022 0.614
O4 0.182 0.978 0.114
O5 0.231 0.416 0.370
O6 0.231 0.584 0.870
O7 0.324 0.246 0.036
O8 0.324 0.754 0.536
O9 0.414 0.100 0.673
O10 0.414 0.900 0.173
O11 0.467 0.471 0.490
O12 0.467 0.529 0.990
O13 0.641 0.211 0.007
O14 0.641 0.789 0.507
O15 0.643 0.419 0.333
O16 0.643 0.581 0.833
O17 0.666 0.211 0.669
O18 0.666 0.789 0.169
O19 0.816 0.008 0.943
O20 0.816 0.992 0.443
O21 0.833 0.483 0.168
O22 0.833 0.517 0.668
O23 0.992 0.291 0.441
O24 0.992 0.709 0.941
O25 0.997 0.081 0.770
O26 0.997 0.919 0.270

=====

6.
A plane-wave DFT calculation with r²SCAN was carried out for crystalline SmNbO4 at its relaxed geometry.

* formation energy from the elements: -20.133 eV/f.u.
* DFT total energy: -16.42 eV/atom
* total magnetic moment: 0.000 μB/atom

Unit cell a=6.671 b=6.671 c=5.167 alpha=110.94 beta=110.94 gamma=114.58
Fractional positions:
Sm1 0.129 0.871 0.750
Sm2 0.871 0.129 0.250
Nb1 0.394 0.606 0.250
Nb2 0.606 0.394 0.750
O1 0.135 0.553 0.339
O2 0.224 0.288 0.801
O3 0.288 0.224 0.301
O4 0.447 0.865 0.161
O5 0.553 0.135 0.839
O6 0.712 0.776 0.699
O7 0.776 0.712 0.199
O8 0.865 0.447 0.661

=====

Question: Number 2 is which compound?
Answer: NbSbO4